SiO2 (GGA-PBE, optimized geometry); magnetization = 0.00 μB/cell; formation enthalpy at 0 K = -3.211 eV per atom; energy with MP2020 corrections = -8.32 eV per atom; space group = No. 230
1.0
14.2665 0.0000 -5.0440
-7.1332 12.3551 -5.0440
0.0000 0.0000 15.1319
Si O
48 96
Direct
0.6302 0.3947 0.5378
0.1431 0.5378 0.4076
0.7645 0.8698 0.4076
0.8947 0.1302 0.0378
0.4076 0.7645 0.8698
0.9076 0.3698 0.2645
0.4622 0.5924 0.8569
0.0924 0.9622 0.3569
0.1053 0.7355 0.1431
0.5924 0.8569 0.4622
0.0924 0.6302 0.7355
0.9622 0.1053 0.8698
0.3569 0.7645 0.3947
0.3698 0.6053 0.4622
0.2355 0.1302 0.5924
0.8698 0.9622 0.1053
0.6053 0.4622 0.3698
0.1053 0.8698 0.9622
0.7645 0.3947 0.3569
0.1431 0.1053 0.7355
0.8569 0.8947 0.2645
0.8569 0.4622 0.5924
0.1302 0.5924 0.2355
0.2645 0.8569 0.8947
0.2355 0.6053 0.6431
0.6302 0.7355 0.0924
0.5378 0.4076 0.1431
0.0378 0.6431 0.9076
0.7355 0.0924 0.6302
0.3698 0.2645 0.9076
0.4076 0.1431 0.5378
0.7355 0.1431 0.1053
0.8947 0.2645 0.8569
0.1302 0.0378 0.8947
0.3569 0.0924 0.9622
0.3947 0.5378 0.6302
0.6431 0.2355 0.6053
0.8698 0.4076 0.7645
0.3947 0.3569 0.7645
0.9076 0.0378 0.6431
0.5924 0.2355 0.1302
0.0378 0.8947 0.1302
0.5378 0.6302 0.3947
0.9622 0.3569 0.0924
0.4622 0.3698 0.6053
0.6431 0.9076 0.0378
0.6053 0.6431 0.2355
0.2645 0.9076 0.3698
0.5342 0.1813 0.6120
0.6168 0.8409 0.1004
0.2241 0.8409 0.2405
0.4658 0.8187 0.3880
0.1591 0.8996 0.3832
0.8409 0.1004 0.6168
0.7595 0.4836 0.6004
0.8880 0.3187 0.9658
0.0342 0.4222 0.3530
0.6004 0.7595 0.4836
0.4308 0.6120 0.5778
0.6591 0.8832 0.3996
0.6813 0.1470 0.5692
0.3409 0.1168 0.6004
0.6591 0.2759 0.2595
0.1120 0.9308 0.0778
0.1591 0.7595 0.7759
0.1813 0.0692 0.6470
0.7759 0.1591 0.7595
0.3187 0.9658 0.8880
0.4222 0.5692 0.3880
0.5692 0.3880 0.4222
0.6470 0.1813 0.0692
0.0778 0.4658 0.1470
0.2595 0.6591 0.2759
0.9308 0.0778 0.1120
0.4222 0.3530 0.0342
0.6813 0.0342 0.1120
0.6120 0.5778 0.4308
0.8832 0.9836 0.2241
0.7241 0.7405 0.3409
0.8996 0.0164 0.7405
0.1470 0.0778 0.4658
0.0692 0.9222 0.8880
0.8880 0.0692 0.9222
0.0164 0.7759 0.1168
0.3832 0.7241 0.4836
0.9836 0.2241 0.8832
0.3530 0.0342 0.4222
0.2595 0.1004 0.9836
0.2759 0.2595 0.6591
0.6470 0.9658 0.5778
0.8187 0.9308 0.3530
0.1004 0.9836 0.2595
0.2759 0.5164 0.6168
0.5164 0.3996 0.2405
0.3996 0.2405 0.5164
0.0692 0.6470 0.1813
0.1470 0.5692 0.6813
0.1168 0.6004 0.3409
0.1120 0.6813 0.0342
0.8832 0.3996 0.6591
0.3530 0.8187 0.9308
0.0164 0.7405 0.8996
0.7405 0.8996 0.0164
0.9658 0.5778 0.6470
0.7241 0.4836 0.3832
0.7405 0.3409 0.7241
0.3880 0.4658 0.8187
0.3832 0.1591 0.8996
0.9222 0.5342 0.8530
0.5342 0.8530 0.9222
0.7759 0.1168 0.0164
0.2405 0.5164 0.3996
0.7595 0.7759 0.1591
0.4836 0.3832 0.7241
0.9658 0.8880 0.3187
0.3996 0.6591 0.8832
0.3880 0.4222 0.5692
0.5778 0.6470 0.9658
0.2405 0.2241 0.8409
0.3187 0.8530 0.4308
0.8530 0.4308 0.3187
0.4308 0.3187 0.8530
0.9222 0.8880 0.0692
0.8996 0.3832 0.1591
0.1168 0.0164 0.7759
0.8409 0.2405 0.2241
0.5778 0.4308 0.6120
0.0342 0.1120 0.6813
0.9308 0.3530 0.8187
0.3409 0.7241 0.7405
0.6004 0.3409 0.1168
0.5164 0.6168 0.2759
0.8530 0.9222 0.5342
0.5692 0.6813 0.1470
0.4836 0.6004 0.7595
0.0778 0.1120 0.9308
0.4658 0.1470 0.0778
0.6168 0.2759 0.5164
0.2241 0.8832 0.9836
0.9836 0.2595 0.1004
0.1004 0.6168 0.8409
0.1813 0.6120 0.5342
0.6120 0.5342 0.1813
0.8187 0.3880 0.4658

CdN (GGA-PBE, optimized geometry); energy above the lowest structure with this stoichiometry = 0.63 eV per formula unit; magnetization = 1.00 μB/cell; formation enthalpy at 0 K = 1.174 eV per atom; energy with MP2020 corrections = -3.46 eV per atom; space group = No. 221
1.0
2.9868 0.0000 0.0000
0.0000 2.9868 0.0000
0.0000 0.0000 2.9868
Cd N
1 1
Direct
0.0000 0.0000 0.0000
0.5000 0.5000 0.5000

NaMo3Se3 (GGA-PBE, optimized geometry); formation enthalpy at 0 K = -0.831 eV per atom; energy with MP2020 corrections = -7.17 eV per atom; space group = No. 176
1.0
4.4120 -7.6417 0.0000
4.4120 7.6417 0.0000
0.0000 0.0000 4.5259
Na Mo Se
2 6 6
Direct
0.3333 0.6667 0.2500
0.6667 0.3333 0.7500
0.1481 0.1911 0.2500
0.8519 0.8089 0.7500
0.8089 0.9570 0.2500
0.0430 0.8519 0.2500
0.9570 0.1481 0.7500
0.1911 0.0430 0.7500
0.9152 0.2951 0.2500
0.0848 0.7049 0.7500
0.7049 0.6201 0.2500
0.3799 0.0848 0.2500
0.6201 0.9152 0.7500
0.2951 0.3799 0.7500

PuCo2 (GGA-PBE, optimized geometry); formation enthalpy at 0 K = -0.168 eV per atom; space group = No. 227
1.0
4.0549 -1.8081 2.3190
-0.2517 -1.3105 4.8278
0.1966 -4.8342 1.2964
Pu Co
2 4
Direct
0.5000 0.5000 0.5000
0.7500 0.7500 0.7500
0.1250 0.1250 0.1250
0.6250 0.1250 0.1250
0.1250 0.6250 0.1250
0.1250 0.1250 0.6250

Rb2TiSi3O10 (GGA-PBE, optimized geometry); magnetization = 8.01 μB/cell; formation enthalpy at 0 K = -2.823 eV per atom; energy with MP2020 corrections = -7.55 eV per atom; space group = No. 19
1.0
7.3172 0.0000 0.0000
0.0000 10.2090 0.0000
0.0000 0.0000 13.0726
Rb Ti Si O
8 4 12 40
Direct
0.1986 0.2864 0.3760
0.3014 0.7136 0.8760
0.8014 0.7864 0.1240
0.6986 0.2136 0.6240
0.2316 0.4385 0.0882
0.2684 0.5615 0.5882
0.7684 0.9385 0.4118
0.7316 0.0615 0.9118
0.2580 0.0554 0.7870
0.2420 0.9446 0.2870
0.7420 0.5554 0.7130
0.7580 0.4446 0.2130
0.5277 0.1667 0.1778
0.9723 0.8333 0.6778
0.4723 0.6667 0.3222
0.0277 0.3333 0.8222
0.0649 0.6457 0.3280
0.4351 0.3543 0.8280
0.9351 0.1457 0.1720
0.5649 0.8543 0.6720
0.2411 0.0402 0.0486
0.2589 0.9598 0.5486
0.7589 0.5402 0.4514
0.7411 0.4598 0.9514
0.0667 0.8022 0.3051
0.4333 0.1978 0.8051
0.9333 0.3022 0.1949
0.5667 0.6978 0.6949
0.2334 0.0021 0.4306
0.2666 0.9979 0.9306
0.7666 0.5021 0.0694
0.7334 0.4979 0.5694
0.0396 0.1129 0.0627
0.4604 0.8871 0.5627
0.9604 0.6129 0.4373
0.5396 0.3871 0.9373
0.0741 0.2951 0.5894
0.4259 0.7049 0.0894
0.9259 0.7951 0.9106
0.5741 0.2049 0.4106
0.4237 0.0947 0.2725
0.0763 0.9053 0.7725
0.5763 0.5947 0.2275
0.9237 0.4053 0.7275
0.0328 0.0654 0.2638
0.4672 0.9346 0.7638
0.9672 0.5654 0.2362
0.5328 0.4346 0.7362
0.5591 0.3220 0.1963
0.9409 0.6780 0.6963
0.4409 0.8220 0.3037
0.0591 0.1780 0.8037
0.3999 0.1514 0.0747
0.1001 0.8486 0.5747
0.6001 0.6514 0.4253
0.8999 0.3486 0.9253
0.7238 0.0910 0.1538
0.7762 0.9090 0.6538
0.2762 0.5910 0.3462
0.2238 0.4090 0.8462
0.2458 0.0756 0.6350
0.2542 0.9244 0.1350
0.7542 0.5756 0.8650
0.7458 0.4244 0.3650

Tb5O9 (GGA-PBE, optimized geometry); magnetization = 3.00 μB/cell; formation enthalpy at 0 K = -3.469 eV per atom; energy with MP2020 corrections = -8.30 eV per atom; space group = No. 82
1.0
5.8613 1.1309 2.8882
-3.8683 -5.3798 0.2624
1.8049 -0.1241 -6.3798
Tb O
5 9
Direct
0.5570 0.8909 0.8986
0.9923 0.6584 0.1014
0.3416 0.4430 0.3339
0.1091 0.0077 0.6661
0.7500 0.2500 0.5000
0.0000 0.0000 0.0000
0.9092 0.3089 0.2148
0.6911 0.9059 0.6003
0.3056 0.0908 0.3997
0.2312 0.4142 0.6452
0.7690 0.5860 0.3548
0.4140 0.7688 0.1830
0.0941 0.6944 0.7852
0.5858 0.2310 0.8170

Sr11In7 (GGA-PBE, optimized geometry); formation enthalpy at 0 K = -0.346 eV per atom; space group = No. 225
1.0
-7.2928 -10.1454 -1.9308
-9.1124 0.3394 -8.7572
1.2059 -6.7191 -10.6414
Sr In
22 14
Direct
0.6665 0.3335 0.0000
0.6665 0.0000 0.0000
0.1124 0.6292 0.6292
0.0000 0.6665 0.3335
0.0000 0.3335 0.6665
0.3708 0.3708 0.3708
0.0000 0.6665 0.0000
0.6292 0.6292 0.1124
0.0000 0.0000 0.6665
0.6292 0.1124 0.6292
0.0000 0.0000 0.3335
0.3335 0.0000 0.0000
0.0000 0.3335 0.0000
0.6665 0.0000 0.3335
0.5000 0.5000 0.5000
0.3708 0.8876 0.3708
0.3708 0.3708 0.8876
0.3335 0.6665 0.0000
0.3335 0.0000 0.6665
0.6292 0.6292 0.6292
0.0000 0.0000 0.0000
0.8876 0.3708 0.3708
0.2819 0.2819 0.7181
0.7181 0.7181 0.2819
0.8107 0.5679 0.8107
0.7181 0.2819 0.2819
0.4321 0.1893 0.1893
0.2819 0.7181 0.7181
0.1893 0.1893 0.1893
0.1893 0.4321 0.1893
0.5679 0.8107 0.8107
0.8107 0.8107 0.8107
0.7181 0.2819 0.7181
0.1893 0.1893 0.4321
0.2819 0.7181 0.2819
0.8107 0.8107 0.5679

Zn8Fe3N8 (GGA-PBE, optimized geometry); magnetization = 9.45 μB/cell; formation enthalpy at 0 K = 0.050 eV per atom; energy with MP2020 corrections = -5.33 eV per atom; space group = No. 12
1.0
-4.4034 -7.4379 -6.3640
-1.1083 -2.2020 2.4076
-7.6038 1.9751 -1.6940
Zn Fe N
8 3 8
Direct
0.1051 0.9474 0.6941
0.8949 0.0526 0.3059
0.6452 0.6774 0.5143
0.3548 0.3226 0.4857
0.8323 0.5838 0.9067
0.1677 0.4162 0.0933
0.6039 0.1981 0.8503
0.3961 0.8019 0.1497
0.0000 0.5000 0.5000
0.3701 0.8149 0.7914
0.6299 0.1851 0.2086
0.2639 0.8680 0.0234
0.7361 0.1320 0.9766
0.3073 0.8463 0.6072
0.6927 0.1537 0.3928
0.5471 0.7264 0.7782
0.4529 0.2736 0.2218
0.0106 0.4947 0.7270
0.9894 0.5053 0.2730

Li3BiO3 (GGA-PBE, optimized geometry); energy above the lowest structure with this stoichiometry = 0.00 eV per formula unit; formation enthalpy at 0 K = -1.960 eV per atom; energy with MP2020 corrections = -5.45 eV per atom; space group = No. 2
1.0
-9.1582 0.0000 0.0000
-0.1348 -9.3759 0.0000
2.9802 3.9963 8.5141
Li Bi O
24 8 24
Direct
0.6520 0.1079 0.3438
0.3480 0.8921 0.6562
0.4764 0.2774 0.9437
0.5236 0.7226 0.0563
0.3154 0.1494 0.5960
0.6846 0.8506 0.4040
0.1001 0.9141 0.4984
0.8999 0.0859 0.5016
0.3261 0.5334 0.1600
0.6739 0.4666 0.8400
0.5235 0.2792 0.5544
0.4765 0.7208 0.4456
0.1549 0.6180 0.3551
0.8451 0.3820 0.6449
0.4963 0.1279 0.1094
0.5037 0.8721 0.8906
0.9192 0.5126 0.0828
0.0808 0.4874 0.9172
0.5794 0.4250 0.3728
0.4206 0.5750 0.6272
0.0763 0.3274 0.5601
0.9237 0.6726 0.4399
0.6844 0.5542 0.2133
0.3156 0.4458 0.7867
0.1612 0.7433 0.7980
0.8388 0.2567 0.2020
0.2781 0.8580 0.2300
0.7481 0.7092 0.6927
0.2519 0.2908 0.3073
0.1568 0.1579 0.8588
0.8432 0.8421 0.1412
0.7219 0.1420 0.7700
0.2995 0.9191 0.4631
0.0490 0.5176 0.7276
0.9510 0.4824 0.2724
0.5286 0.2674 0.7604
0.7005 0.0809 0.5369
0.4714 0.7326 0.2396
0.1137 0.1380 0.6318
0.8863 0.8620 0.3682
0.8600 0.2470 0.4176
0.1400 0.7530 0.5824
0.1226 0.6479 0.1415
0.8774 0.3521 0.8585
0.5356 0.7973 0.6834
0.4644 0.2027 0.3166
0.7183 0.6193 0.0515
0.2817 0.3807 0.9485
0.6332 0.9507 0.1170
0.3668 0.0493 0.8830
0.3508 0.5156 0.3611
0.6492 0.4844 0.6389
0.6181 0.3317 0.1573
0.3819 0.6683 0.8427
0.2881 0.3387 0.5428
0.7119 0.6613 0.4572

SrCuGe (GGA-PBE, optimized geometry); formation enthalpy at 0 K = -0.406 eV per atom; space group = No. 187
1.0
2.1112 -3.6567 0.0000
2.1112 3.6567 0.0000
0.0000 0.0000 4.5799
Sr Cu Ge
1 1 1
Direct
0.6667 0.3333 0.0000
0.0000 0.0000 0.5000
0.3333 0.6667 0.5000

CeC2 (GGA-PBE, optimized geometry); formation enthalpy at 0 K = -0.159 eV per atom; space group = No. 139
1.0
3.5379 -2.1213 -0.2261
2.6752 3.0228 0.8798
-3.2939 -1.0397 2.2665
Ce C
1 2
Direct
0.0000 0.0000 0.0000
0.6040 0.6040 0.0000
0.3960 0.3960 0.0000